[1]
A plane-wave DFT calculation with PBE was carried out for NdCoSi after structural relaxation.

Unit cell a=4.015 b=4.015 c=7.121 alpha=90.00 beta=90.00 gamma=90.00
Fractional coordinates of all 6 atoms:
1 Nd 0.250 0.250 0.187
2 Nd 0.750 0.750 0.813
3 Co 0.250 0.750 0.500
4 Co 0.750 0.250 0.500
5 Si 0.250 0.250 0.666
6 Si 0.750 0.750 0.334

Values from the calculation:
uncorrected energy = -19.4 eV/f.u.
formation energy from the elements = -0.660 eV/atom
space-group type = P4/nmm

[2]
A plane-wave DFT calculation with PBE was carried out for NdCo9Si4 after structural relaxation.

Unit cell a=7.920 b=7.920 c=7.920 alpha=121.51 beta=121.51 gamma=87.40
Fractional coordinates of all 28 atoms:
1 Nd 0.250 0.250 0.000
2 Nd 0.750 0.750 0.000
3 Co 0.000 0.500 0.500
4 Co 0.050 0.550 0.241
5 Co 0.069 0.801 0.870
6 Co 0.190 0.950 0.500
7 Co 0.199 0.069 0.268
8 Co 0.301 0.569 0.870
9 Co 0.310 0.810 0.759
10 Co 0.431 0.301 0.732
11 Co 0.450 0.690 0.500
12 Co 0.500 0.000 0.500
13 Co 0.550 0.310 0.500
14 Co 0.569 0.699 0.268
15 Co 0.690 0.190 0.241
16 Co 0.699 0.431 0.130
17 Co 0.801 0.931 0.732
18 Co 0.810 0.050 0.500
19 Co 0.931 0.199 0.130
20 Co 0.950 0.450 0.759
21 Si 0.047 0.210 0.500
22 Si 0.210 0.710 0.163
23 Si 0.290 0.453 0.500
24 Si 0.453 0.953 0.163
25 Si 0.547 0.047 0.837
26 Si 0.710 0.547 0.500
27 Si 0.790 0.290 0.837
28 Si 0.953 0.790 0.500

Values from the calculation:
uncorrected energy = -97.2 eV/f.u.
formation energy from the elements = -0.459 eV/atom
space-group type = I4/mcm

[3]
A plane-wave DFT calculation with PBE was carried out for NdCo9Si2 after structural relaxation.

Unit cell a=7.523 b=7.523 c=7.523 alpha=100.00 beta=100.00 gamma=130.76
Fractional coordinates of all 24 atoms:
1 Nd 0.375 0.625 0.750
2 Nd 0.625 0.375 0.250
3 Co 0.125 0.875 0.250
4 Co 0.140 0.558 0.330
5 Co 0.140 0.810 0.582
6 Co 0.190 0.272 0.330
7 Co 0.190 0.860 0.918
8 Co 0.272 0.190 0.830
9 Co 0.272 0.442 0.082
10 Co 0.442 0.272 0.582
11 Co 0.442 0.860 0.170
12 Co 0.558 0.140 0.830
13 Co 0.558 0.728 0.418
14 Co 0.728 0.558 0.918
15 Co 0.728 0.810 0.170
16 Co 0.810 0.140 0.082
17 Co 0.810 0.728 0.670
18 Co 0.860 0.190 0.418
19 Co 0.860 0.442 0.670
20 Co 0.875 0.125 0.750
21 Si 0.000 0.000 0.000
22 Si 0.000 0.000 0.500
23 Si 0.000 0.500 0.000
24 Si 0.500 0.000 0.500

Values from the calculation:
magnetization = 9.0 μB/f.u.
uncorrected energy = -83.0 eV/f.u.
formation energy from the elements = -0.271 eV/atom
space-group type = I4_1/amd

[4]
A plane-wave DFT calculation with PBE was carried out for Nd5CoSi2 after structural relaxation.

Unit cell a=8.827 b=8.789 c=7.864 alpha=63.74 beta=63.24 gamma=53.03
Fractional coordinates of all 16 atoms:
1 Nd 0.000 0.000 0.500
2 Nd 0.035 0.676 0.324
3 Nd 0.194 0.523 0.806
4 Nd 0.324 0.965 0.035
5 Nd 0.477 0.806 0.523
6 Nd 0.500 0.500 0.000
7 Nd 0.523 0.194 0.477
8 Nd 0.676 0.035 0.965
9 Nd 0.806 0.477 0.194
10 Nd 0.965 0.324 0.676
11 Co 0.384 0.616 0.384
12 Co 0.616 0.384 0.616
13 Si 0.115 0.885 0.885
14 Si 0.250 0.250 0.250
15 Si 0.750 0.750 0.750
16 Si 0.885 0.115 0.115

Values from the calculation:
magnetization = 0.0 μB/f.u.
uncorrected energy = -44.8 eV/f.u.
formation energy from the elements = -0.360 eV/atom
space-group type = Fmmm

[5]
A plane-wave DFT calculation with PBE was carried out for Nd2CoSn4 after structural relaxation.

Unit cell a=4.566 b=8.811 c=8.811 alpha=29.99 beta=90.00 gamma=90.00
Fractional coordinates of all 7 atoms:
1 Nd 0.000 0.000 0.000
2 Nd 0.500 0.206 0.206
3 Co 0.500 0.408 0.408
4 Sn 0.000 0.346 0.346
5 Sn 0.000 0.669 0.669
6 Sn 0.500 0.553 0.553
7 Sn 0.500 0.845 0.845

Values from the calculation:
uncorrected energy = -36.6 eV/f.u.
formation energy from the elements = -0.566 eV/atom
space-group type = Amm2

[6]
A plane-wave DFT calculation with PBE was carried out for Nd12Co6Sn after structural relaxation.

Unit cell a=8.679 b=8.679 c=8.679 alpha=109.47 beta=109.47 gamma=109.47
Fractional coordinates of all 19 atoms:
1 Nd 0.113 0.807 0.306
2 Nd 0.193 0.306 0.499
3 Nd 0.193 0.694 0.887
4 Nd 0.306 0.113 0.807
5 Nd 0.306 0.499 0.193
6 Nd 0.499 0.193 0.306
7 Nd 0.501 0.807 0.694
8 Nd 0.694 0.501 0.807
9 Nd 0.694 0.887 0.193
10 Nd 0.807 0.306 0.113
11 Nd 0.807 0.694 0.501
12 Nd 0.887 0.193 0.694
13 Co 0.111 0.611 0.500
14 Co 0.389 0.500 0.889
15 Co 0.500 0.111 0.611
16 Co 0.500 0.889 0.389
17 Co 0.611 0.500 0.111
18 Co 0.889 0.389 0.500
19 Sn 0.000 0.000 0.000

Values from the calculation:
uncorrected energy = -107.2 eV/f.u.
formation energy from the elements = -0.175 eV/atom
space-group type = Im-3